*w*
Below is a relaxed SrCa7Mn7CrO21 crystal, with properties calculated at the PBE with a Hubbard U level.

Computed properties:
Space group: No. 1
Calculated volume (A^3/atom): 12.749

abc: 11.0280 15.5299 11.0210
angles: 90.04 91.50 90.47
Closest atoms and distances in Å follow each position.
Atoms (fractional coordinates):
Sr (0.9966, 0.1108, 0.5087)  5 O 2.40-2.66
Sr (0.5106, 0.3848, 0.9873)  6 O 2.44-2.66
Sr (0.2401, 0.3874, 0.2466)  7 O 2.46-2.73
Sr (0.2308, 0.1198, 0.2422)  6 O 2.39-2.63
Ca (0.9926, 0.1110, 0.0064)  4 O 2.26-2.46
Ca (0.0083, 0.6239, 0.5102)  4 O 2.30-2.44
Ca (0.0121, 0.6216, 0.9941)  5 O 2.34-2.59
Ca (0.5425, 0.1257, 0.4767)  6 O 2.32-2.44
Ca (0.5486, 0.1287, 0.9862)  6 O 2.34-2.44
Ca (0.5292, 0.6300, 0.5124)  6 O 2.35-2.57
Ca (0.5332, 0.6216, 0.9736)  5 O 2.32-2.47
Ca (0.4992, 0.3800, 0.5140)  4 O 2.26-2.46
Ca (0.5178, 0.8592, 0.9826)  6 O 2.28-2.50
Ca (0.4933, 0.8679, 0.5102)  4 O 2.27-2.41
Ca (0.9654, 0.3886, 0.0041)  6 O 2.35-2.58
Ca (0.9583, 0.3894, 0.5024)  6 O 2.37-2.58
Ca (0.9561, 0.8795, 0.0022)  7 O 2.35-2.60
Ca (0.9681, 0.8725, 0.5106)  7 O 2.38-2.61
Ca (0.2351, 0.4062, 0.7623)  5 O 2.32-2.50
Ca (0.2284, 0.8875, 0.2719)  5 O 2.30-2.56
Ca (0.2206, 0.8716, 0.7369)  7 O 2.48-2.59
Ca (0.7607, 0.3849, 0.2520)  3 O 2.29-2.36
Ca (0.7367, 0.3848, 0.7534)  4 O 2.31-2.56
Ca (0.7645, 0.8688, 0.2585)  3 O 2.31-2.32
Ca (0.7389, 0.8670, 0.7496)  4 O 2.27-2.46
Ca (0.2224, 0.1076, 0.7377)  5 O 2.27-2.45
Ca (0.2376, 0.6258, 0.2613)  5 O 2.27-2.46
Ca (0.2683, 0.6309, 0.7384)  6 O 2.39-2.53
Ca (0.7766, 0.1135, 0.2513)  6 O 2.35-2.56
Ca (0.7825, 0.1220, 0.7546)  6 O 2.39-2.63
Ca (0.7813, 0.6219, 0.2524)  6 O 2.36-2.59
Ca (0.7715, 0.6231, 0.7582)  5 O 2.34-2.59
Mn (0.9939, 0.9916, 0.7575)  6 O 1.91-2.14
Mn (0.0021, 0.5026, 0.2526)  6 O 1.94-2.09
Mn (0.9965, 0.5012, 0.7536)  6 O 1.94-2.04
Mn (0.5055, 0.9812, 0.2287)  4 O 1.89-1.92
Mn (0.5078, 0.9933, 0.7361)  4 O 1.93-1.96
Mn (0.5092, 0.4954, 0.2452)  4 O 1.89-1.92
Mn (0.4957, 0.5026, 0.7467)  6 O 1.93-2.09
Mn (0.2417, 0.9991, 0.5147)  5 O 1.93-2.02
Mn (0.2515, 0.5206, 0.0084)  5 O 1.95-2.16
Mn (0.2375, 0.4979, 0.5098)  5 O 1.90-2.03
Mn (0.7430, 0.9995, 0.9953)  6 O 1.96-2.05
Mn (0.7430, 0.9975, 0.4971)  5 O 1.94-2.05
Mn (0.7527, 0.5041, 0.0007)  6 O 1.93-2.01
Mn (0.7438, 0.5044, 0.5027)  6 O 1.94-2.05
Mn (0.2674, 0.2456, 0.4636)  4 O 1.99-2.10
Mn (0.2596, 0.7556, 0.9753)  4 O 1.85-1.92
Mn (0.2486, 0.7515, 0.4986)  5 O 1.97-2.10
Mn (0.7597, 0.2495, 0.0044)  6 O 1.94-2.15
Mn (0.7485, 0.2508, 0.5058)  6 O 1.99-2.13
Mn (0.7541, 0.7465, 0.9999)  6 O 1.92-2.14
Mn (0.7525, 0.7459, 0.5056)  6 O 1.92-2.00
Mn (0.9954, 0.2570, 0.7641)  5 O 1.94-2.05
Mn (0.9980, 0.7503, 0.2631)  5 O 1.91-2.01
Mn (0.9968, 0.7499, 0.7490)  6 O 1.95-2.04
Mn (0.5236, 0.2571, 0.2574)  4 O 1.87-1.99
Mn (0.5116, 0.2481, 0.7500)  4 O 1.94-2.04
Mn (0.5203, 0.7490, 0.2625)  4 O 1.85-1.98
Mn (0.5039, 0.7475, 0.7480)  6 O 1.93-1.99
Cr (0.9937, 0.9956, 0.2534)  6 O 1.98-2.08
Cr (0.2365, 0.9917, 0.0131)  4 O 1.90-2.03
Cr (0.2664, 0.2316, 0.9401)  4 O 1.75-1.87
Cr (0.9852, 0.2531, 0.2691)  3 O 1.78-1.88
O (0.0983, 0.7711, 0.6081)  2 Mn 1.96-2.10
O (0.5929, 0.2562, 0.1012)  1 Mn 1.90
O (0.5760, 0.2511, 0.5875)  2 Mn 1.94-2.13
O (0.5967, 0.7544, 0.1083)  2 Mn 1.92-2.14
O (0.6031, 0.7623, 0.6021)  2 Mn 1.98-2.00
O (0.4038, 0.2008, 0.3505)  2 Mn 1.90-2.10
O (0.3945, 0.1820, 0.8573)  1 Cr 1.87, 1 Mn 2.04
O (0.4070, 0.6965, 0.3601)  1 Mn 1.85
O (0.4089, 0.7299, 0.8969)  2 Mn 1.92-1.99
O (0.9087, 0.2405, 0.4084)  1 Cr 1.78
O (0.9114, 0.2370, 0.9214)  2 Mn 1.94-2.01
O (0.8930, 0.7300, 0.4073)  2 Mn 1.93-2.01
O (0.8980, 0.7331, 0.9007)  2 Mn 1.96-2.04
O (0.1475, 0.2513, 0.3135)  1 Cr 1.84
O (0.1785, 0.2528, 0.8011)  1 Cr 1.82
O (0.1600, 0.7494, 0.3368)  2 Mn 1.94-2.01
O (0.1452, 0.7378, 0.8470)  2 Mn 1.89-1.95
O (0.6595, 0.2202, 0.3469)  2 Mn 1.87-2.04
O (0.6580, 0.2288, 0.8577)  2 Mn 1.97-2.00
O (0.6592, 0.7216, 0.3543)  2 Mn 1.87-1.97
O (0.6491, 0.7278, 0.8549)  2 Mn 1.97-1.99
O (0.3558, 0.7652, 0.6435)  2 Mn 1.97-1.99
O (0.8650, 0.2762, 0.1502)  1 Cr 1.88, 1 Mn 2.00
O (0.8584, 0.2761, 0.6510)  2 Mn 1.96-2.02
O (0.8665, 0.7700, 0.1410)  2 Mn 1.98-1.99
O (0.8519, 0.7707, 0.6472)  2 Mn 1.92-1.96
O (0.3610, 0.5169, 0.1601)  2 Mn 1.89-2.04
O (0.3505, 0.4964, 0.6429)  2 Mn 1.90-1.94
O (0.3498, 0.0025, 0.1603)  1 Mn 1.89, 1 Cr 2.03
O (0.3471, 0.9960, 0.6630)  2 Mn 1.93-1.98
O (0.8613, 0.4869, 0.1430)  2 Mn 1.96-1.97
O (0.8533, 0.4798, 0.6448)  2 Mn 1.98-1.99
O (0.8455, 0.9779, 0.1408)  1 Mn 1.97, 1 Cr 2.04
O (0.8526, 0.9797, 0.6479)  2 Mn 1.95-2.05
O (0.1454, 0.0087, 0.3662)  1 Mn 1.93, 1 Cr 2.07
O (0.1497, 0.0029, 0.8611)  1 Cr 1.92, 1 Mn 2.04
O (0.1486, 0.5113, 0.3578)  2 Mn 1.93-1.97
O (0.1470, 0.5264, 0.8599)  2 Mn 1.98-2.04
O (0.6256, 0.0235, 0.3399)  1 Mn 1.89
O (0.6356, 0.0315, 0.8483)  2 Mn 1.94-2.05
O (0.6253, 0.5301, 0.3644)  2 Mn 1.89-2.02
O (0.6407, 0.5143, 0.8574)  2 Mn 1.99
O (0.3880, 0.5130, 0.8992)  2 Mn 1.95-2.09
O (0.8792, 0.0110, 0.3874)  1 Mn 1.96, 1 Cr 1.98
O (0.8872, 0.0115, 0.8959)  2 Mn 1.96-1.98
O (0.8881, 0.5202, 0.3906)  2 Mn 2.02-2.05
O (0.8921, 0.5169, 0.8951)  2 Mn 1.96-1.98
O (0.1115, 0.4815, 0.1040)  2 Mn 1.98-2.09
O (0.0968, 0.4763, 0.6165)  2 Mn 1.94-2.00
O (0.0996, 0.9722, 0.1104)  2 Cr 1.90-2.02
O (0.0978, 0.9784, 0.6214)  2 Mn 1.92-2.02
O (0.6154, 0.4951, 0.1097)  2 Mn 1.92-1.96
O (0.6012, 0.4882, 0.6093)  2 Mn 1.95-2.00
O (0.5876, 0.9923, 0.0777)  2 Mn 1.92-1.96
O (0.5909, 0.9944, 0.5820)  2 Mn 1.94-1.95
O (0.9937, 0.3809, 0.2908)  1 Mn 1.94, 1 Cr 2.00
O (0.0148, 0.3791, 0.7984)  2 Mn 1.94-1.97
O (0.9984, 0.8715, 0.2929)  1 Mn 1.91, 1 Cr 1.98
O (0.0006, 0.8715, 0.7948)  2 Mn 1.91-1.96
O (0.4782, 0.3782, 0.2914)  2 Mn 1.92-1.99
O (0.4857, 0.3752, 0.7614)  2 Mn 1.99-2.00
O (0.4731, 0.8695, 0.2923)  2 Mn 1.91-1.98
O (0.5179, 0.8708, 0.7763)  2 Mn 1.94-1.96
O (0.4891, 0.6254, 0.7203)  2 Mn 1.93
O (0.9931, 0.1277, 0.2197)  2 Cr 2.03-2.08
O (0.0020, 0.1284, 0.7352)  2 Mn 2.02-2.14
O (0.0062, 0.6282, 0.2163)  2 Mn 1.97-1.99
O (0.9858, 0.6253, 0.7169)  2 Mn 1.97
O (0.2135, 0.1358, 0.0186)  1 Cr 1.82
O (0.2364, 0.1282, 0.5318)  2 Mn 2.00-2.01
O (0.2249, 0.6539, 0.0554)  1 Mn 1.85
O (0.2291, 0.6259, 0.5238)  2 Mn 1.98-2.00
O (0.7552, 0.1247, 0.0389)  2 Mn 1.98-2.01
O (0.7528, 0.1249, 0.5381)  2 Mn 1.99-2.03
O (0.7494, 0.6256, 0.0357)  2 Mn 1.92-1.93
O (0.7449, 0.6253, 0.5473)  2 Mn 1.93-1.94
O (0.2821, 0.3724, 0.4846)  2 Mn 1.99-2.03
O (0.2931, 0.3266, 0.0219)  1 Cr 1.75
O (0.2816, 0.8806, 0.4747)  2 Mn 1.95-2.05
O (0.2959, 0.8760, 0.9883)  1 Mn 1.91, 1 Cr 1.94
O (0.7389, 0.3781, 0.4643)  2 Mn 2.01-2.03
O (0.7502, 0.3765, 0.9709)  2 Mn 2.01
O (0.7443, 0.8713, 0.4664)  2 Mn 1.99-2.00
O (0.7399, 0.8727, 0.9651)  2 Mn 2.00

---

*x*
Below is a relaxed SrCa7Mn7CrO21 crystal, with properties calculated at the PBE with a Hubbard U level.

Computed properties:
Space group: No. 1
Calculated volume (A^3/atom): 12.698

abc: 7.7909 7.7569 7.7749
angles: 90.17 89.38 90.04
Closest atoms and distances in Å follow each position.
Atoms (fractional coordinates):
Sr (0.2459, 0.2479, 0.2443)  6 O 2.52-2.82
Ca (0.2838, 0.2487, 0.7228)  4 O 2.30-2.50
Ca (0.2375, 0.7349, 0.2272)  6 O 2.39-2.68
Ca (0.2858, 0.7491, 0.7087)  6 O 2.43-2.72
Ca (0.7575, 0.2588, 0.2880)  6 O 2.29-2.51
Ca (0.7483, 0.2649, 0.7390)  5 O 2.37-2.51
Ca (0.7266, 0.7391, 0.2538)  6 O 2.28-2.48
Ca (0.7615, 0.7506, 0.7039)  7 O 2.35-2.61
Mn (0.0034, 0.9998, 0.5121)  5 O 1.94-2.10
Mn (0.9855, 0.5034, 0.0147)  4 O 1.95-2.06
Mn (0.0056, 0.5011, 0.5063)  6 O 1.93-2.06
Mn (0.4994, 0.9982, 0.9872)  5 O 1.94-2.05
Mn (0.5107, 0.9993, 0.4798)  6 O 1.98-2.08
Mn (0.5035, 0.5042, 0.9852)  5 O 1.92-2.00
Mn (0.5059, 0.5051, 0.5066)  5 O 1.90-1.94
Cr (0.0076, 0.9906, 0.9825)  4 O 1.78-1.79
O (0.9237, 0.0060, 0.7711)  1 Cr 1.78
O (0.0415, 0.4993, 0.2604)  2 Mn 1.93-1.96
O (0.9500, 0.4994, 0.7664)  2 Mn 1.95-2.06
O (0.5221, 0.0572, 0.2284)  2 Mn 1.94-2.01
O (0.5250, 0.9533, 0.7383)  2 Mn 1.97-2.05
O (0.5325, 0.5561, 0.7444)  2 Mn 1.90-1.93
O (0.2372, 0.9753, 0.9807)  1 Cr 1.79
O (0.2545, 0.0311, 0.5036)  2 Mn 1.97-2.02
O (0.2497, 0.5101, 0.9938)  2 Mn 1.98-2.06
O (0.2597, 0.4714, 0.5290)  2 Mn 1.94-2.00
O (0.7618, 0.9643, 0.4546)  2 Mn 1.96-1.98
O (0.7321, 0.4770, 0.0710)  2 Mn 1.92-2.03
O (0.7501, 0.5296, 0.4655)  2 Mn 1.93-2.03
O (0.9661, 0.1885, 0.0909)  1 Cr 1.78
O (0.9723, 0.2489, 0.5047)  2 Mn 1.95-1.97
O (0.9555, 0.7868, 0.0758)  1 Cr 1.79
O (0.0419, 0.7522, 0.5160)  2 Mn 1.94-1.97
O (0.4949, 0.2512, 0.9360)  2 Mn 2.00
O (0.5359, 0.2595, 0.5223)  2 Mn 1.92-2.05
O (0.5097, 0.7478, 0.0501)  2 Mn 1.96-2.01
O (0.4655, 0.7390, 0.4348)  2 Mn 1.93-2.08

---

Among the structures above, stability is greatest for *x*.